! Nd3GaCoSe7, optimized geometry, DFT PBE; values from VASP
! Calculated volume = 24.8 Å³ per atom
! Magnetic moment = 3.5 μB/cell
! Corrected total energy (MP2020 scheme) = -5.65 eV per atom
! E_form = -1.5761 eV per atom
! Crystal system = monoclinic
&SYSTEM
  ibrav = 0, nat = 24, ntyp = 4
/
ATOMIC_SPECIES
Nd 144.24 Nd.upf
Ga 69.72 Ga.upf
Co 58.93 Co.upf
Se 78.96 Se.upf
ATOMIC_POSITIONS angstrom
Nd -0.150 6.463 2.531
Nd -0.453 3.232 5.861
Nd 2.882 3.230 1.134
Nd 2.275 6.462 7.794
Nd 5.610 0.000 3.066
Nd 5.306 3.231 6.396
Ga -2.568 5.946 7.439
Ga 7.725 2.714 1.488
Co 2.578 2.015 4.463
Co 2.579 5.247 4.464
Se -2.794 4.994 5.222
Se -4.373 4.993 8.743
Se -2.567 1.878 7.439
Se 0.878 3.706 3.282
Se 0.713 0.473 5.344
Se 2.748 0.474 2.398
Se -0.536 4.994 8.352
Se 5.693 1.761 0.575
Se 2.409 3.707 6.529
Se 4.444 3.706 3.584
Se 4.279 0.474 5.645
Se 7.724 5.110 1.488
Se 9.530 1.761 0.184
Se 7.951 1.762 3.705
CELL_PARAMETERS angstrom
10.298 0.000 0.000
0.000 6.465 0.000
-5.141 0.000 8.927